No. 1
# Na3CaFe4Si8O24 | the Materials Project database | PBE with a Hubbard U | relaxed
# Total magnetization: 37.999 μB/cell
# Total energy after the MP2020 corrections: -7.838 eV per atom
# Volume: 901.7 Å³/cell
# Mass density: 3.5 Mg/m³
# Formation energy: -269.0 kJ/mol of atoms
# Energy relative to the lowest polymorph listed for this composition: 6 meV/atom
data_Na3CaFe4Si8O24
_cell_length_a 12.239
_cell_length_b 8.935
_cell_length_c 9.848
_cell_angle_alpha 90.00
_cell_angle_beta 123.15
_cell_angle_gamma 90.00
_space_group_name_H-M_alt 'C 1 2 1'
_space_group_IT_number 5
loop_
_space_group_symop_operation_xyz
'x,y,z'
'-x,y,-z'
'x+1/2,y+1/2,z'
'-x+1/2,y+1/2,-z'
loop_
_atom_site_label
_atom_site_type_symbol
_atom_site_fract_x
_atom_site_fract_y
_atom_site_fract_z
Na1 Na 0.000 0.000 0.000
Na2 Na 0.249 0.402 0.248
Ca1 Ca 0.000 0.501 0.500
Fe1 Fe 0.000 0.099 0.500
Fe2 Fe 0.000 0.600 0.000
Fe3 Fe 0.246 0.800 0.244
Si1 Si 0.006 0.792 0.294
Si2 Si 0.007 0.291 0.797
Si3 Si 0.241 0.113 0.454
Si4 Si 0.242 0.611 0.953
O1 O 0.027 0.955 0.667
O2 O 0.028 0.455 0.168
O3 O 0.050 0.285 0.665
O4 O 0.051 0.780 0.166
O5 O 0.119 0.710 0.468
O6 O 0.122 0.212 0.969
O7 O 0.129 0.688 0.775
O8 O 0.130 0.191 0.279
O9 O 0.192 0.619 0.077
O10 O 0.193 0.121 0.579
O11 O 0.217 0.451 0.578
O12 O 0.222 0.948 0.081

No. 2
# Na3CaFe4Si8O24 | the Materials Project database | PBE with a Hubbard U | relaxed
# Total magnetization: 57.000 μB/cell
# Total energy after the MP2020 corrections: -7.844 eV per atom
# Volume: 1354.3 Å³/cell
# Mass density: 3.5 Mg/m³
# Formation energy: -269.6 kJ/mol of atoms
# Energy relative to the lowest polymorph listed for this composition: 0 meV/atom
data_Na3CaFe4Si8O24
_cell_length_a 7.590
_cell_length_b 9.400
_cell_length_c 19.955
_cell_angle_alpha 101.06
_cell_angle_beta 93.84
_cell_angle_gamma 102.67
_space_group_name_H-M_alt 'P 1'
_space_group_IT_number 1
loop_
_space_group_symop_operation_xyz
'x,y,z'
loop_
_atom_site_label
_atom_site_type_symbol
_atom_site_fract_x
_atom_site_fract_y
_atom_site_fract_z
Na1 Na 0.000 0.000 0.000
Na2 Na 0.001 0.000 0.666
Na3 Na 0.048 0.444 0.132
Na4 Na 0.054 0.449 0.800
Na5 Na 0.498 0.496 0.667
Na6 Na 0.500 0.496 0.000
Na7 Na 0.501 0.500 0.333
Na8 Na 0.548 0.944 0.466
Na9 Na 0.999 0.995 0.334
Ca1 Ca 0.056 0.452 0.466
Ca2 Ca 0.546 0.942 0.798
Ca3 Ca 0.556 0.951 0.133
Fe1 Fe 0.195 0.794 0.868
Fe2 Fe 0.196 0.794 0.201
Fe3 Fe 0.201 0.804 0.533
Fe4 Fe 0.348 0.144 0.600
Fe5 Fe 0.348 0.147 0.934
Fe6 Fe 0.351 0.150 0.267
Fe7 Fe 0.697 0.295 0.534
Fe8 Fe 0.702 0.302 0.867
Fe9 Fe 0.702 0.304 0.199
Fe10 Fe 0.848 0.644 0.267
Fe11 Fe 0.851 0.651 0.600
Fe12 Fe 0.852 0.650 0.933
Si1 Si 0.083 0.398 0.633
Si2 Si 0.083 0.399 0.966
Si3 Si 0.083 0.402 0.299
Si4 Si 0.239 0.738 0.026
Si5 Si 0.240 0.739 0.691
Si6 Si 0.241 0.740 0.360
Si7 Si 0.308 0.205 0.107
Si8 Si 0.309 0.202 0.440
Si9 Si 0.309 0.206 0.773
Si10 Si 0.468 0.547 0.167
Si11 Si 0.469 0.545 0.834
Si12 Si 0.472 0.544 0.500
Si13 Si 0.583 0.898 0.300
Si14 Si 0.583 0.901 0.966
Si15 Si 0.583 0.902 0.632
Si16 Si 0.740 0.238 0.359
Si17 Si 0.741 0.240 0.025
Si18 Si 0.741 0.240 0.693
Si19 Si 0.808 0.701 0.773
Si20 Si 0.808 0.705 0.440
Si21 Si 0.809 0.701 0.106
Si22 Si 0.968 0.047 0.501
Si23 Si 0.971 0.046 0.833
Si24 Si 0.972 0.043 0.167
O1 O 0.091 0.147 0.119
O2 O 0.091 0.154 0.454
O3 O 0.092 0.149 0.786
O4 O 0.104 0.776 0.969
O5 O 0.106 0.010 0.557
O6 O 0.106 0.773 0.632
O7 O 0.108 0.006 0.890
O8 O 0.111 0.772 0.297
O9 O 0.113 0.999 0.222
O10 O 0.198 0.556 0.355
O11 O 0.198 0.556 0.686
O12 O 0.199 0.555 0.020
O13 O 0.229 0.825 0.436
O14 O 0.235 0.317 0.269
O15 O 0.236 0.317 0.602
O16 O 0.236 0.317 0.935
O17 O 0.241 0.820 0.106
O18 O 0.241 0.827 0.769
O19 O 0.314 0.615 0.530
O20 O 0.314 0.628 0.197
O21 O 0.318 0.121 0.361
O22 O 0.319 0.624 0.867
O23 O 0.320 0.124 0.695
O24 O 0.321 0.124 0.028
O25 O 0.353 0.386 0.446
O26 O 0.353 0.389 0.115
O27 O 0.355 0.388 0.780
O28 O 0.430 0.159 0.167
O29 O 0.439 0.170 0.501
O30 O 0.440 0.168 0.833
O31 O 0.445 0.943 0.243
O32 O 0.452 0.954 0.579
O33 O 0.455 0.952 0.910
O34 O 0.457 0.801 0.013
O35 O 0.458 0.795 0.345
O36 O 0.460 0.797 0.678
O37 O 0.589 0.653 0.787
O38 O 0.591 0.648 0.453
O39 O 0.591 0.654 0.121
O40 O 0.607 0.274 0.300
O41 O 0.607 0.510 0.224
O42 O 0.611 0.274 0.631
O43 O 0.612 0.271 0.962
O44 O 0.612 0.500 0.888
O45 O 0.613 0.499 0.555
O46 O 0.696 0.056 0.022
O47 O 0.697 0.056 0.689
O48 O 0.698 0.056 0.353
O49 O 0.729 0.326 0.101
O50 O 0.730 0.321 0.771
O51 O 0.735 0.819 0.935
O52 O 0.736 0.818 0.269
O53 O 0.736 0.819 0.602
O54 O 0.740 0.321 0.439
O55 O 0.810 0.124 0.860
O56 O 0.814 0.115 0.196
O57 O 0.814 0.129 0.531
O58 O 0.816 0.620 0.028
O59 O 0.817 0.622 0.694
O60 O 0.820 0.624 0.362
O61 O 0.850 0.887 0.781
O62 O 0.853 0.885 0.113
O63 O 0.853 0.889 0.448
O64 O 0.928 0.662 0.835
O65 O 0.929 0.659 0.500
O66 O 0.939 0.670 0.168
O67 O 0.942 0.443 0.911
O68 O 0.944 0.442 0.576
O69 O 0.951 0.453 0.245
O70 O 0.957 0.297 0.679
O71 O 0.958 0.292 0.011
O72 O 0.958 0.299 0.347

No. 3
# Na3CaFe4Si8O24 | the Materials Project database | PBE with a Hubbard U | relaxed
# Total magnetization: 19.000 μB/cell
# Total energy after the MP2020 corrections: -7.659 eV per atom
# Volume: 516.6 Å³/cell
# Mass density: 3.0 Mg/m³
# Formation energy: -251.7 kJ/mol of atoms
# Energy relative to the lowest polymorph listed for this composition: 185 meV/atom
data_Na3CaFe4Si8O24
_cell_length_a 7.502
_cell_length_b 7.510
_cell_length_c 10.529
_cell_angle_alpha 104.28
_cell_angle_beta 106.48
_cell_angle_gamma 104.75
_space_group_name_H-M_alt 'P 1'
_space_group_IT_number 1
loop_
_space_group_symop_operation_xyz
'x,y,z'
loop_
_atom_site_label
_atom_site_type_symbol
_atom_site_fract_x
_atom_site_fract_y
_atom_site_fract_z
Na1 Na 0.000 0.000 0.000
Na2 Na 0.174 0.426 0.755
Na3 Na 0.673 0.434 0.247
Ca1 Ca 0.477 0.993 0.500
Fe1 Fe 0.061 0.818 0.243
Fe2 Fe 0.104 0.612 0.499
Fe3 Fe 0.551 0.806 0.757
Fe4 Fe 0.618 0.622 0.003
Si1 Si 0.169 0.916 0.726
Si2 Si 0.187 0.455 0.277
Si3 Si 0.476 0.974 0.977
Si4 Si 0.489 0.514 0.526
Si5 Si 0.677 0.921 0.223
Si6 Si 0.688 0.457 0.776
Si7 Si 0.981 0.969 0.476
Si8 Si 0.991 0.508 0.023
O1 O 0.009 0.377 0.333
O2 O 0.040 0.682 0.671
O3 O 0.045 0.045 0.653
O4 O 0.115 0.379 0.101
O5 O 0.128 0.734 0.069
O6 O 0.168 0.053 0.432
O7 O 0.257 0.695 0.355
O8 O 0.270 0.021 0.901
O9 O 0.322 0.524 0.599
O10 O 0.342 0.909 0.656
O11 O 0.391 0.403 0.351
O12 O 0.420 0.734 0.904
O13 O 0.508 0.382 0.830
O14 O 0.544 0.688 0.170
O15 O 0.546 0.050 0.152
O16 O 0.613 0.381 0.599
O17 O 0.619 0.750 0.582
O18 O 0.648 0.052 0.916
O19 O 0.751 0.697 0.844
O20 O 0.776 0.021 0.400
O21 O 0.818 0.515 0.089
O22 O 0.837 0.914 0.145
O23 O 0.887 0.398 0.845
O24 O 0.916 0.730 0.410

No. 4
# Na3CaFeSi8O24 | the Materials Project database | PBE with a Hubbard U | relaxed
# Total magnetization: 18.003 μB/cell
# Total energy after the MP2020 corrections: -7.147 eV per atom
# Volume: 950.4 Å³/cell
# Mass density: 2.7 Mg/m³
# Formation energy: -229.1 kJ/mol of atoms
data_Na3CaFeSi8O24
_cell_length_a 10.314
_cell_length_b 9.136
_cell_length_c 10.560
_cell_angle_alpha 90.00
_cell_angle_beta 107.23
_cell_angle_gamma 90.00
_space_group_name_H-M_alt 'C 1 2 1'
_space_group_IT_number 5
loop_
_space_group_symop_operation_xyz
'x,y,z'
'-x,y,-z'
'x+1/2,y+1/2,z'
'-x+1/2,y+1/2,-z'
loop_
_atom_site_label
_atom_site_type_symbol
_atom_site_fract_x
_atom_site_fract_y
_atom_site_fract_z
Na1 Na 0.000 0.000 0.000
Na2 Na 0.005 0.439 0.255
Ca1 Ca 0.000 0.008 0.500
Fe1 Fe 0.000 0.643 0.000
Si1 Si 0.208 0.144 0.262
Si2 Si 0.211 0.314 0.516
Si3 Si 0.213 0.136 0.766
Si4 Si 0.213 0.317 0.008
O1 O 0.122 0.630 0.186
O2 O 0.124 0.802 0.963
O3 O 0.127 0.837 0.444
O4 O 0.131 0.601 0.685
O5 O 0.139 0.476 0.976
O6 O 0.142 0.218 0.870
O7 O 0.147 0.220 0.375
O8 O 0.147 0.975 0.724
O9 O 0.151 0.229 0.623
O10 O 0.157 0.482 0.482
O11 O 0.158 0.242 0.127
O12 O 0.158 0.976 0.226

No. 5
# NaCaFeSi4O12 | the Materials Project database | PBE with a Hubbard U | relaxed
# Total magnetization: 6.008 μB/cell
# Total energy after the MP2020 corrections: -7.586 eV per atom
# Volume: 456.0 Å³/cell
# Mass density: 3.1 Mg/m³
# Formation energy: -260.3 kJ/mol of atoms
data_NaCaFeSi4O12
_cell_length_a 9.924
_cell_length_b 9.067
_cell_length_c 5.272
_cell_angle_alpha 90.00
_cell_angle_beta 106.00
_cell_angle_gamma 90.00
_space_group_name_H-M_alt 'C 1 2 1'
_space_group_IT_number 5
loop_
_space_group_symop_operation_xyz
'x,y,z'
'-x,y,-z'
'x+1/2,y+1/2,z'
'-x+1/2,y+1/2,-z'
loop_
_atom_site_label
_atom_site_type_symbol
_atom_site_fract_x
_atom_site_fract_y
_atom_site_fract_z
Na1 Na 0.000 0.000 0.000
Ca1 Ca 0.000 0.416 0.500
Fe1 Fe 0.000 0.788 0.500
Si1 Si 0.211 0.109 0.516
Si2 Si 0.215 0.288 0.029
O1 O 0.115 0.799 0.864
O2 O 0.120 0.620 0.425
O3 O 0.141 0.948 0.440
O4 O 0.142 0.215 0.249
O5 O 0.146 0.449 0.942
O6 O 0.156 0.188 0.753

No. 6
# NaCa3FeSi8O24 | the Materials Project database | PBE with a Hubbard U | relaxed
# Total magnetization: 0.998 μB/cell
# Total energy after the MP2020 corrections: -7.504 eV per atom
# Volume: 476.7 Å³/cell
# Mass density: 2.8 Mg/m³
# Formation energy: -260.0 kJ/mol of atoms
data_NaCa3FeSi8O24
_cell_length_a 5.207
_cell_length_b 9.197
_cell_length_c 10.126
_cell_angle_alpha 90.00
_cell_angle_beta 100.59
_cell_angle_gamma 90.00
_space_group_name_H-M_alt 'P 1 2 1'
_space_group_IT_number 3
loop_
_space_group_symop_operation_xyz
'x,y,z'
'-x,y,-z'
loop_
_atom_site_label
_atom_site_type_symbol
_atom_site_fract_x
_atom_site_fract_y
_atom_site_fract_z
Na1 Na 0.000 0.000 0.000
Ca1 Ca 0.000 0.054 0.500
Ca2 Ca 0.500 0.531 0.500
Ca3 Ca 0.500 0.559 0.000
Fe1 Fe 0.500 0.196 0.000
Si1 Si 0.143 0.707 0.197
Si2 Si 0.203 0.365 0.731
Si3 Si 0.314 0.195 0.275
Si4 Si 0.359 0.902 0.803
O1 O 0.084 0.292 0.330
O2 O 0.134 0.793 0.846
O3 O 0.140 0.558 0.109
O4 O 0.215 0.666 0.356
O5 O 0.221 0.530 0.673
O6 O 0.255 0.196 0.112
O7 O 0.291 0.036 0.344
O8 O 0.304 0.925 0.641
O9 O 0.315 0.352 0.891
O10 O 0.320 0.052 0.883
O11 O 0.367 0.812 0.145
O12 O 0.408 0.274 0.652

No. 7
# NaCaFe2Si4O12 | the Materials Project database | PBE with a Hubbard U | relaxed
# Total magnetization: 1.995 μB/cell
# Total energy after the MP2020 corrections: -7.937 eV per atom
# Volume: 457.2 Å³/cell
# Mass density: 3.5 Mg/m³
# Formation energy: -276.8 kJ/mol of atoms
# Energy relative to the lowest polymorph listed for this composition: 0 meV/atom
data_NaCaFe2Si4O12
_cell_length_a 9.873
_cell_length_b 9.023
_cell_length_c 5.357
_cell_angle_alpha 90.00
_cell_angle_beta 106.64
_cell_angle_gamma 90.00
_space_group_name_H-M_alt 'C 1 2 1'
_space_group_IT_number 5
loop_
_space_group_symop_operation_xyz
'x,y,z'
'-x,y,-z'
'x+1/2,y+1/2,z'
'-x+1/2,y+1/2,-z'
loop_
_atom_site_label
_atom_site_type_symbol
_atom_site_fract_x
_atom_site_fract_y
_atom_site_fract_z
Na1 Na 0.000 0.000 0.000
Ca1 Ca 0.000 0.601 0.500
Fe1 Fe 0.000 0.198 0.500
Fe2 Fe 0.000 0.393 0.000
Si1 Si 0.211 0.892 0.512
Si2 Si 0.212 0.710 0.019
O1 O 0.115 0.215 0.879
O2 O 0.117 0.384 0.409
O3 O 0.137 0.554 0.930
O4 O 0.139 0.053 0.439
O5 O 0.146 0.785 0.247
O6 O 0.154 0.813 0.745

No. 8
# NaCaTiFe3O8 | the Materials Project database | PBE with a Hubbard U | relaxed
# Total magnetization: 29.996 μB/cell
# Total energy after the MP2020 corrections: -7.800 eV per atom
# Volume: 305.5 Å³/cell
# Mass density: 4.4 Mg/m³
# Formation energy: -227.3 kJ/mol of atoms
data_NaCaTiFe3O8
_cell_length_a 3.012
_cell_length_b 9.300
_cell_length_c 10.908
_cell_angle_alpha 90.00
_cell_angle_beta 90.00
_cell_angle_gamma 90.00
_space_group_name_H-M_alt 'P m n 21'
_space_group_IT_number 31
loop_
_space_group_symop_operation_xyz
'x,y,z'
'-x+1/2,-y,z+1/2'
'-x,y,z'
'x+1/2,-y,z+1/2'
loop_
_atom_site_label
_atom_site_type_symbol
_atom_site_fract_x
_atom_site_fract_y
_atom_site_fract_z
Na1 Na 0.000 0.008 0.000
Ca1 Ca 0.000 0.508 0.812
Ti1 Ti 0.000 0.161 0.257
Fe1 Fe 0.000 0.184 0.766
Fe2 Fe 0.000 0.668 0.548
Fe3 Fe 0.000 0.690 0.046
O1 O 0.000 0.173 0.582
O2 O 0.000 0.274 0.940
O3 O 0.000 0.364 0.179
O4 O 0.000 0.455 0.489
O5 O 0.000 0.665 0.231
O6 O 0.000 0.776 0.865
O7 O 0.000 0.866 0.641
O8 O 0.000 0.961 0.304

No. 9
# Na3CaTi3Fe5O16 | the Materials Project database | PBE with a Hubbard U | relaxed
# Total magnetization: 25.001 μB/cell
# Total energy after the MP2020 corrections: -7.580 eV per atom
# Volume: 329.0 Å³/cell
# Mass density: 4.0 Mg/m³
# Formation energy: -210.4 kJ/mol of atoms
data_Na3CaTi3Fe5O16
_cell_length_a 8.690
_cell_length_b 4.250
_cell_length_c 8.908
_cell_angle_alpha 90.00
_cell_angle_beta 90.58
_cell_angle_gamma 90.00
_space_group_name_H-M_alt 'P 1 m 1'
_space_group_IT_number 6
loop_
_space_group_symop_operation_xyz
'x,y,z'
'x,-y,z'
loop_
_atom_site_label
_atom_site_type_symbol
_atom_site_fract_x
_atom_site_fract_y
_atom_site_fract_z
Na1 Na 0.000 0.000 0.000
Na2 Na 0.014 0.500 0.711
Na3 Na 0.506 0.000 0.443
Ca1 Ca 0.514 0.500 0.731
Ti1 Ti 0.012 0.000 0.428
Ti2 Ti 0.269 0.500 0.401
Ti3 Ti 0.510 0.000 0.013
Fe1 Fe 0.213 0.500 0.997
Fe2 Fe 0.253 0.000 0.732
Fe3 Fe 0.722 0.500 0.443
Fe4 Fe 0.772 0.500 0.038
Fe5 Fe 0.798 0.000 0.715
O1 O 0.010 0.000 0.243
O2 O 0.017 0.000 0.710
O3 O 0.054 0.500 0.457
O4 O 0.243 0.000 0.473
O5 O 0.254 0.500 0.775
O6 O 0.268 0.500 0.208
O7 O 0.278 0.000 0.969
O8 O 0.471 0.000 0.722
O9 O 0.484 0.500 0.466
O10 O 0.525 0.000 0.198
O11 O 0.546 0.500 0.985
O12 O 0.739 0.000 0.937
O13 O 0.762 0.500 0.672
O14 O 0.768 0.500 0.245
O15 O 0.783 0.000 0.486
O16 O 0.992 0.500 0.978